Compound: BaTmCo4O7
Source: Materials Project
Functional: GGA+U
Structure: relaxed

Computed properties:
ΔH_f (0 K) = -2.0466 eV/atom
E_tot = -6.516 eV/atom

a = 6.3705 Å, b = 10.2484 Å, c = 11.0436 Å
α = 90.00°, β = 90.00°, γ = 90.00°
Last column: nearest neighbours and their distance in Å.
Positions (direct):
Ba 0.5011 0.5001 0.1649  6 O 2.83-3.04
Ba 0.4989 0.0001 0.8351  6 O 2.83-3.04
Ba 0.0011 0.0001 0.3351  6 O 2.83-3.04
Ba 0.9989 0.5001 0.6649  6 O 2.83-3.04
Tm 0.5105 0.8701 0.1691  6 O 2.20-2.33
Tm 0.4895 0.3701 0.8309  6 O 2.20-2.33
Tm 0.0105 0.3701 0.3309  6 O 2.20-2.33
Tm 0.9895 0.8701 0.6691  6 O 2.20-2.33
Co 0.4923 0.6887 0.6714  4 O 1.96-2.00
Co 0.5077 0.1887 0.3286  4 O 1.96-2.00
Co 0.9923 0.1887 0.8286  4 O 1.96-2.00
Co 0.0077 0.6887 0.1714  4 O 1.96-2.00
Co 0.7559 0.1925 0.5859  4 O 1.95-2.00
Co 0.2441 0.6925 0.4141  4 O 1.95-2.00
Co 0.2559 0.6925 0.9141  4 O 1.95-2.00
Co 0.7441 0.1925 0.0859  4 O 1.95-2.00
Co 0.7542 0.6851 0.4189  4 O 1.94-2.00
Co 0.2458 0.1851 0.5811  4 O 1.94-2.00
Co 0.2542 0.1851 0.0811  4 O 1.94-2.00
Co 0.7458 0.6851 0.9189  4 O 1.94-2.00
Co 0.4972 0.9454 0.5010  4 O 1.87-1.95
Co 0.5028 0.4454 0.4990  4 O 1.87-1.95
Co 0.9972 0.4454 0.9990  4 O 1.87-1.95
Co 0.0028 0.9454 0.0010  4 O 1.87-1.95
O 0.5016 0.2556 0.4983  4 Co 1.95-2.00
O 0.4984 0.7556 0.5017  4 Co 1.95-2.00
O 0.0016 0.7556 0.0017  4 Co 1.95-2.00
O 0.9984 0.2556 0.9983  4 Co 1.95-2.00
O 0.4433 0.4969 0.6601  2 Co 1.89-1.99
O 0.5567 0.9969 0.3399  2 Co 1.89-1.99
O 0.9433 0.9969 0.8399  2 Co 1.89-1.99
O 0.0567 0.4969 0.1601  2 Co 1.89-1.99
O 0.7279 0.9992 0.5961  2 Co 1.89-1.99
O 0.2721 0.4992 0.4039  2 Co 1.89-1.99
O 0.2279 0.4992 0.9039  2 Co 1.89-1.99
O 0.7721 0.9992 0.0961  2 Co 1.89-1.99
O 0.7665 0.4920 0.4395  2 Co 1.87-1.99
O 0.2335 0.9920 0.5605  2 Co 1.87-1.99
O 0.2665 0.9920 0.0605  2 Co 1.87-1.99
O 0.7335 0.4920 0.9395  2 Co 1.87-1.99
O 0.4993 0.2445 0.9918  2 Co 1.94-1.95
O 0.5007 0.7445 0.0082  2 Co 1.94-1.95
O 0.9993 0.7445 0.5082  2 Co 1.94-1.95
O 0.0007 0.2445 0.4918  2 Co 1.94-1.95
O 0.2662 0.7809 0.7570  2 Co 1.96-1.97
O 0.7338 0.2809 0.2430  2 Co 1.96-1.97
O 0.7662 0.2809 0.7430  2 Co 1.96-1.97
O 0.2338 0.7809 0.2570  2 Co 1.96-1.97
O 0.2368 0.2286 0.2526  2 Co 1.95-1.96
O 0.7632 0.7286 0.7474  2 Co 1.95-1.96
O 0.7368 0.7286 0.2474  2 Co 1.95-1.96
O 0.2632 0.2286 0.7526  2 Co 1.95-1.96